A plane-wave DFT calculation with r2SCAN was carried out for a geometry-optimized Ta2H structure.

Calculated formation energy ... -0.108 eV/atom
Calculated volume ... 38 Å³/cell
Energy relative to the lowest polymorph listed for this composition ... 0.0692 eV/atom
DFT total energy ... -100.96 eV/cell
SG ... C2/m, No. 12

Lattice parameters (Å, degrees): 2.919 2.919 4.884 95.80 95.80 67.61
Positions (direct):
Ta 0.234 0.234 0.263
Ta 0.766 0.766 0.737
H 0.500 0.500 0.000